Entry 1:
The following is a PBE-GGA calculation of a geometry-optimized SmC10 structure, from Materials Project.

Output
Total DFT energy (no corrections) = -8.521 eV per atom

```
data_SmC10
_cell_length_a 10.828
_cell_length_b 10.828
_cell_length_c 10.828
_cell_angle_alpha 90.00
_cell_angle_beta 90.00
_cell_angle_gamma 90.00
_space_group_name_H-M_alt 'I m -3'
_space_group_IT_number 204
_space_group_name_Hall '-I 2 2 3'
loop_
_atom_site_label
_atom_site_type_symbol
_atom_site_fract_x
_atom_site_fract_y
_atom_site_fract_z
Sm1 Sm 0.000 0.253 0.500
C1 C 0.000 0.068 0.330
C2 C 0.067 0.240 0.215
C3 C 0.108 0.133 0.283
```

***

Entry 2:
The following is a PBE-GGA calculation of a geometry-optimized NaInMo6Se6 structure, from Materials Project.

Output
Energy with MP2020 corrections = -99.79 eV for the cell shown
Total DFT energy (no corrections) = -6.926 eV per atom

```
data_NaInMo6Se6
_cell_length_a 9.6175
_cell_length_b 9.6175
_cell_length_c 4.5216
_cell_angle_alpha 90.00
_cell_angle_beta 90.00
_cell_angle_gamma 120.00
_space_group_name_H-M_alt 'P -6'
_space_group_IT_number 174
_space_group_name_Hall 'P -6'
loop_
_atom_site_label
_atom_site_type_symbol
_atom_site_fract_x
_atom_site_fract_y
_atom_site_fract_z
Na1 Na 0.0000 0.0000 0.0000
In1 In 0.6667 0.3333 0.5000
Mo1 Mo 0.1627 0.5196 0.0000
Mo2 Mo 0.1852 0.6888 0.5000
Se1 Se 0.0432 0.7157 0.0000
Se2 Se 0.3757 0.0018 0.5000
```

***

Entry 3:
The following is a PBE-GGA calculation of a geometry-optimized Na2Sc4Si3Ge4S9O48 structure, from Materials Project.

Output
Energy with MP2020 corrections = -1502.09 eV for the cell shown
Total DFT energy (no corrections) = -6.682 eV per atom

```
data_Na2Sc4Si3Ge4S9O48
_cell_length_a 8.659
_cell_length_b 14.928
_cell_length_c 22.495
_cell_angle_alpha 90.96
_cell_angle_beta 90.26
_cell_angle_gamma 90.13
_space_group_name_H-M_alt 'P 1'
_space_group_IT_number 1
_space_group_name_Hall 'P 1'
loop_
_atom_site_label
_atom_site_type_symbol
_atom_site_fract_x
_atom_site_fract_y
_atom_site_fract_z
Na1 Na 0.000 0.000 0.000
Na2 Na 0.006 0.004 0.508
Na3 Na 0.023 0.668 0.336
Na4 Na 0.493 0.169 0.833
Na5 Na 0.508 0.503 0.007
Na6 Na 0.514 0.493 0.503
Sc1 Sc 0.003 0.343 0.530
Sc2 Sc 0.005 0.682 0.488
Sc3 Sc 0.012 0.000 0.856
Sc4 Sc 0.016 0.674 0.193
Sc5 Sc 0.492 0.177 0.692
Sc6 Sc 0.503 0.501 0.357
Sc7 Sc 0.509 0.182 0.986
Sc8 Sc 0.512 0.515 0.854
Sc9 Sc 0.517 0.839 0.534
Sc10 Sc 0.518 0.843 0.026
Sc11 Sc 0.996 0.337 0.033
Sc12 Sc 0.999 0.016 0.356
Si1 Si 0.147 0.152 0.756
Si2 Si 0.368 0.326 0.590
Si3 Si 0.373 0.654 0.255
Si4 Si 0.638 0.326 0.093
Si5 Si 0.654 0.652 0.751
Si6 Si 0.716 0.338 0.423
Si7 Si 0.799 0.838 0.922
Si8 Si 0.860 0.156 0.253
Si9 Si 0.876 0.825 0.593
Ge1 Ge 0.005 0.011 0.654
Ge2 Ge 0.009 0.013 0.157
Ge3 Ge 0.013 0.338 0.811
Ge4 Ge 0.503 0.509 0.653
Ge5 Ge 0.504 0.838 0.316
Ge6 Ge 0.513 0.506 0.159
Ge7 Ge 0.515 0.194 0.485
Ge8 Ge 0.525 0.182 0.193
Ge9 Ge 0.534 0.833 0.813
Ge10 Ge 0.988 0.329 0.320
Ge11 Ge 0.990 0.680 0.693
Ge12 Ge 0.999 0.677 0.980
S1 S 0.142 0.482 0.417
S2 S 0.142 0.825 0.088
S3 S 0.159 0.536 0.083
S4 S 0.163 0.857 0.752
S5 S 0.164 0.197 0.422
S6 S 0.209 0.508 0.752
S7 S 0.221 0.165 0.092
S8 S 0.223 0.840 0.418
S9 S 0.290 0.340 0.918
S10 S 0.292 0.669 0.592
S11 S 0.303 0.008 0.251
S12 S 0.350 0.696 0.923
S13 S 0.353 0.357 0.252
S14 S 0.354 0.035 0.584
S15 S 0.371 0.982 0.918
S16 S 0.641 0.984 0.420
S17 S 0.653 0.700 0.418
S18 S 0.661 0.032 0.093
S19 S 0.663 0.364 0.756
S20 S 0.713 0.002 0.754
S21 S 0.720 0.669 0.086
S22 S 0.793 0.168 0.587
S23 S 0.803 0.502 0.255
S24 S 0.853 0.865 0.254
S25 S 0.857 0.534 0.592
S26 S 0.862 0.199 0.917
S27 S 0.871 0.485 0.921
O1 O 0.064 0.252 0.762
O2 O 0.064 0.916 0.095
O3 O 0.066 0.105 0.695
O4 O 0.068 0.572 0.420
O5 O 0.068 0.785 0.033
O6 O 0.081 0.438 0.360
O7 O 0.081 0.892 0.804
O8 O 0.089 0.575 0.136
O9 O 0.092 0.238 0.474
O10 O 0.094 0.447 0.074
O11 O 0.095 0.106 0.415
O12 O 0.103 0.763 0.743
O13 O 0.105 0.429 0.761
O14 O 0.112 0.432 0.470
O15 O 0.114 0.093 0.812
O16 O 0.114 0.771 0.140
O17 O 0.115 0.588 0.742
O18 O 0.120 0.243 0.085
O19 O 0.122 0.081 0.097
O20 O 0.123 0.919 0.412
O21 O 0.127 0.757 0.419
O22 O 0.131 0.594 0.029
O23 O 0.137 0.914 0.699
O24 O 0.140 0.250 0.366
O25 O 0.179 0.686 0.930
O26 O 0.182 0.029 0.590
O27 O 0.186 0.353 0.261
O28 O 0.189 0.669 0.246
O29 O 0.191 0.342 0.577
O30 O 0.194 0.329 0.862
O31 O 0.196 0.680 0.645
O32 O 0.197 0.350 0.972
O33 O 0.201 0.651 0.537
O34 O 0.203 0.982 0.197
O35 O 0.203 0.993 0.915
O36 O 0.206 0.024 0.303
O37 O 0.303 0.524 0.805
O38 O 0.306 0.484 0.699
O39 O 0.307 0.837 0.080
O40 O 0.311 0.148 0.038
O41 O 0.311 0.493 0.413
O42 O 0.317 0.178 0.145
O43 O 0.317 0.828 0.361
O44 O 0.317 0.849 0.471
O45 O 0.329 0.530 0.089
O46 O 0.331 0.164 0.751
O47 O 0.332 0.853 0.762
O48 O 0.333 0.187 0.429
O49 O 0.372 0.748 0.868
O50 O 0.380 0.414 0.198
O51 O 0.382 0.091 0.530
O52 O 0.384 0.257 0.920
O53 O 0.388 0.748 0.585
O54 O 0.391 0.419 0.913
O55 O 0.392 0.587 0.596
O56 O 0.395 0.089 0.240
O57 O 0.396 0.592 0.311
O58 O 0.398 0.267 0.647
O59 O 0.400 0.932 0.972
O60 O 0.405 0.929 0.259
O61 O 0.413 0.264 0.242
O62 O 0.413 0.944 0.574
O63 O 0.418 0.605 0.918
O64 O 0.418 0.738 0.976
O65 O 0.425 0.070 0.638
O66 O 0.433 0.938 0.863
O67 O 0.438 0.393 0.303
O68 O 0.445 0.072 0.923
O69 O 0.451 0.605 0.194
O70 O 0.453 0.755 0.263
O71 O 0.455 0.284 0.530
O72 O 0.459 0.425 0.599
O73 O 0.556 0.286 0.032
O74 O 0.557 0.426 0.103
O75 O 0.564 0.602 0.694
O76 O 0.565 0.749 0.759
O77 O 0.567 0.071 0.427
O78 O 0.573 0.943 0.362
O79 O 0.582 0.611 0.412
O80 O 0.587 0.401 0.809
O81 O 0.589 0.944 0.087
O82 O 0.590 0.742 0.472
O83 O 0.591 0.074 0.146
O84 O 0.602 0.422 0.416
O85 O 0.609 0.922 0.760
O86 O 0.610 0.260 0.148
O87 O 0.611 0.270 0.750
O88 O 0.615 0.926 0.471
O89 O 0.618 0.082 0.748
O90 O 0.619 0.242 0.427
O91 O 0.620 0.746 0.079
O92 O 0.625 0.586 0.091
O93 O 0.627 0.756 0.364
O94 O 0.628 0.594 0.810
O95 O 0.636 0.417 0.702
O96 O 0.639 0.086 0.039
O97 O 0.673 0.163 0.245
O98 O 0.684 0.863 0.262
O99 O 0.686 0.529 0.598
O100 O 0.690 0.821 0.862
O101 O 0.691 0.191 0.922
O102 O 0.693 0.835 0.583
O103 O 0.696 0.854 0.980
O104 O 0.697 0.148 0.532
O105 O 0.701 0.178 0.640
O106 O 0.702 0.497 0.916
O107 O 0.706 0.517 0.307
O108 O 0.707 0.484 0.200
O109 O 0.807 0.014 0.808
O110 O 0.809 0.984 0.700
O111 O 0.812 0.992 0.414
O112 O 0.816 0.683 0.139
O113 O 0.818 0.652 0.031
O114 O 0.819 0.355 0.481
O115 O 0.820 0.322 0.362
O116 O 0.821 0.336 0.083
O117 O 0.823 0.691 0.422
O118 O 0.834 0.021 0.098
O119 O 0.835 0.365 0.765
O120 O 0.840 0.662 0.743
O121 O 0.882 0.920 0.199
O122 O 0.883 0.588 0.538
O123 O 0.886 0.094 0.309
O124 O 0.888 0.257 0.864
O125 O 0.892 0.085 0.591
O126 O 0.893 0.245 0.580
O127 O 0.896 0.584 0.247
O128 O 0.899 0.430 0.973
O129 O 0.901 0.745 0.931
O130 O 0.904 0.760 0.648
O131 O 0.905 0.424 0.261
O132 O 0.911 0.774 0.246
O133 O 0.911 0.923 0.917
O134 O 0.923 0.445 0.587
O135 O 0.925 0.241 0.972
O136 O 0.932 0.111 0.913
O137 O 0.933 0.575 0.645
O138 O 0.933 0.902 0.307
O139 O 0.938 0.446 0.865
O140 O 0.948 0.110 0.194
O141 O 0.948 0.574 0.929
O142 O 0.949 0.252 0.262
O143 O 0.957 0.787 0.532
O144 O 0.957 0.925 0.603
```

***

Sequential DFT formation energy output: 0.30, -0.69, -2.33 eV/atom
Sequential M_tot output: 0.00, 0.00, 0.00 Bohr magnetons per cell